Record 1
36
Lattice="11.524 0.000 0.000 0.000 5.637 0.000 0.000 2.875 7.613" Properties=species:S:1:pos:R:3 comment="MoH2C2O4, relaxed, DFT PBE with a Hubbard U" sg="P2_1/c (14)" rho_g_cm3=2.5 total_energy_ev_per_atom=-6.62 polymorph_energy_mev_per_atom=0.0 pbc="T T T"
C 6.263 4.197 1.109
H 0.703 2.922 3.777
C 11.023 5.635 4.916
O 6.991 2.196 4.083
O 5.961 5.252 5.986
Mo 10.968 3.724 0.084
C 0.501 2.877 2.697
O 10.295 0.758 0.276
O 6.731 5.177 1.794
O 2.371 5.825 7.155
C 3.441 5.662 3.321
C 9.203 1.412 0.486
O 4.793 3.335 5.819
H 3.239 7.663 6.896
H 5.059 4.360 7.584
H 8.285 0.850 0.717
O 9.152 2.687 0.458
O 11.325 3.815 2.179
O 3.390 4.387 3.349
H 6.465 4.152 0.030
Mo 5.206 3.351 3.722
C 2.321 7.100 7.127
H 2.523 6.225 3.090
C 5.261 4.315 6.504
C 8.083 2.850 4.293
O 0.969 1.898 2.012
O 4.533 6.316 3.531
H 9.001 2.287 4.524
O 5.563 3.260 1.628
O 1.229 7.754 7.337
Mo 0.556 4.788 7.529
H 10.821 5.590 3.836
O 10.555 6.614 5.601
Mo 6.318 5.162 3.891
O 8.133 4.125 4.265
O 0.199 4.697 5.435

=====

Record 2
96
Lattice="1.101 4.505 1.949 -6.182 3.707 -4.887 -11.299 -5.533 14.876" Properties=species:S:1:pos:R:3 comment="Li32Mn3Cr13O48, relaxed, DFT PBE with a Hubbard U" sg="P1 (1)" rho_g_cm3=3.6 total_energy_ev_per_atom=-6.26 pbc="T T T"
Li -6.423 3.330 1.410
O -6.037 1.592 9.827
O -13.223 -1.248 9.211
Li -10.005 1.133 4.254
O -9.656 1.212 6.425
Li -10.458 2.211 10.647
Cr -12.816 -1.114 11.136
Li -13.633 -2.895 13.289
Li -10.779 -0.592 6.493
Li -4.311 2.143 3.103
Li -2.288 0.858 4.694
O -9.263 -3.623 12.361
Cr -13.324 1.749 11.252
O -9.595 -0.803 12.623
O -8.103 4.607 1.955
Li -15.645 -1.621 11.700
Li -12.014 -1.224 15.116
Li -5.874 -1.300 7.554
O -5.992 5.002 -2.668
Cr -12.821 0.647 4.881
Cr -5.658 5.084 -0.803
Li -7.932 -1.883 12.140
O -2.618 0.804 2.530
Li -9.955 -0.641 10.528
Li -8.421 0.948 12.263
O -6.744 1.480 5.511
Cr -7.160 3.391 -2.572
O -7.588 1.540 1.770
O -6.177 3.289 3.459
Cr -3.052 0.965 0.702
O -7.717 -0.179 7.910
Li -11.241 0.489 12.888
Li -11.504 -4.092 14.981
O -11.837 0.492 10.870
Cr -3.587 3.816 0.818
O -3.632 -0.872 4.894
Cr -5.136 0.377 5.259
O -7.099 6.230 -0.420
O -0.347 4.345 2.400
O -6.828 3.479 -0.706
Li -7.959 1.723 -0.315
O -2.384 5.372 0.731
Mn -7.657 4.491 3.827
O -12.386 -1.291 12.959
O -11.636 2.237 4.776
O -14.307 0.104 11.490
O -4.612 6.754 -1.000
O -13.785 1.858 9.373
Cr -11.304 2.324 6.650
O -2.074 2.562 0.447
O -8.032 2.634 8.170
O -12.752 3.466 7.024
O -8.663 2.858 4.035
O -10.824 2.150 8.510
O -11.751 -4.040 12.939
Li -4.817 4.968 3.225
O -4.700 0.489 7.197
O -8.344 0.042 3.766
O -10.339 1.084 2.125
O -4.562 2.216 1.071
Li -13.611 -1.040 7.120
Li -12.061 0.538 8.836
O -11.189 -2.238 10.885
Li -14.040 0.041 13.524
Li -14.878 0.091 9.470
O -16.005 -1.673 9.547
Cr -7.188 1.659 3.668
O -8.259 -1.949 9.983
Li -9.242 2.864 2.031
Li -16.167 1.231 11.822
O -8.799 1.138 10.161
Li -7.149 -0.178 9.901
Li -7.982 -0.129 5.863
O -4.020 3.974 -1.016
Li -2.785 3.702 4.816
Li -6.367 1.548 7.694
O -10.280 3.998 6.428
Li -5.592 3.258 5.454
Cr -3.505 2.016 7.096
O -10.348 -2.298 14.616
O -10.202 -0.608 8.487
O -6.100 -1.233 5.524
Li -1.502 2.599 2.459
Li -10.517 3.987 4.378
Cr -10.758 -2.423 12.707
Cr -9.204 1.025 8.255
O -13.991 -2.707 11.224
O -3.943 1.929 5.170
O -5.182 4.937 1.065
O -5.566 0.538 3.422
Mn -8.715 -1.821 8.113
O -12.476 0.711 6.739
O -3.147 3.904 2.738
Mn -9.172 -0.750 14.503
Li -8.390 2.800 6.079
Li -5.134 2.177 -0.945

=====

Record 3
80
Lattice="-3.000 -9.083 1.212 7.777 -3.281 -5.151 5.255 -1.078 8.921" Properties=species:S:1:pos:R:3 comment="Cr7FeO12, relaxed, DFT PBE with a Hubbard U" sg="P1 (1)" rho_g_cm3=4.1 total_energy_ev_per_atom=-7.41 polymorph_energy_mev_per_atom=42.7 pbc="T T T"
O 4.808 -8.989 4.373
O 6.054 -3.973 0.712
Cr 4.268 -9.984 -3.030
Cr 7.071 -9.600 6.817
Fe -0.323 -9.838 1.925
Cr 7.540 -4.672 -3.352
Cr 3.699 -8.406 8.838
O 7.048 -3.439 3.511
O 4.082 -10.329 1.343
Cr 3.750 -2.498 3.276
Cr 9.407 -6.091 0.580
Cr 5.889 -4.679 4.575
Cr 2.790 -6.486 6.260
Cr 7.653 -3.015 -0.265
O 4.109 -4.848 -1.029
O 4.524 -3.614 4.426
O 8.741 -6.996 2.358
O 4.105 -1.843 -1.072
Cr 8.856 -8.584 3.752
Cr 7.713 -12.892 1.240
O 2.724 -4.064 2.533
O 1.374 -6.002 1.782
Cr 3.568 -9.689 5.648
O 9.258 -4.709 3.474
O 2.117 -2.723 -0.045
Cr 10.390 -6.306 3.295
O 3.431 -4.859 8.119
O 6.749 -4.367 6.193
O 6.154 -8.640 1.521
O 1.638 -9.972 5.455
Fe 8.085 -12.832 3.932
Fe 6.385 -7.761 -4.050
Cr 7.596 -2.806 7.022
O 6.877 -4.228 -1.681
O 4.732 -5.973 5.623
O 9.614 -11.661 4.033
O 7.852 -9.117 -0.953
Cr 6.563 -10.369 2.218
Cr 1.429 -4.283 0.970
O 3.536 -8.274 6.936
O 9.848 -7.240 5.010
O 5.070 -7.205 -1.134
O 6.198 -9.693 -3.367
O 0.073 -3.196 1.861
Cr 6.734 -10.650 -1.581
O -1.127 -9.191 0.258
O 6.793 -11.239 3.895
O 7.261 -7.640 6.864
O 6.642 -11.378 0.460
Cr 5.905 -5.533 -0.527
Cr 4.582 -8.602 0.289
O 4.071 -7.232 1.581
Cr 7.431 -4.830 2.169
O 8.687 -9.329 5.724
O 4.095 -1.905 1.605
O 6.104 -5.893 3.237
O -1.827 -9.293 3.040
Cr 4.088 -3.298 0.193
O 11.916 -5.339 4.107
Cr 1.808 -5.444 3.553
Cr 3.754 -6.367 -2.217
O 0.208 -5.173 -0.239
O 7.465 -6.383 0.296
O 2.546 -8.519 -0.210
O 5.103 -10.671 6.647
Cr 7.924 -8.239 0.869
Fe 2.899 -10.599 -0.484
O 8.792 -4.151 0.853
O 0.466 -8.270 2.528
O 4.818 -10.052 -1.142
Cr 2.208 -7.689 1.793
Cr 4.767 -7.448 3.369
O 11.053 -5.392 1.477
O 2.226 -1.906 4.049
O 7.612 -11.586 6.433
O 8.482 -9.767 2.077
Cr 8.862 -2.959 4.188
O 2.743 -7.024 3.732
O 2.046 -4.743 5.362
Cr 5.177 -5.130 7.244

=====

Record 4
24
Lattice="-3.348 1.026 -5.336 -6.420 -1.946 2.897 -3.842 6.375 1.016" Properties=species:S:1:pos:R:3 comment="CuMoO4, relaxed, DFT PBE with a Hubbard U" sg="P-1 (2)" rho_g_cm3=4.6 total_energy_ev_per_atom=-6.36 polymorph_energy_mev_per_atom=12.3 pbc="T T T"
O -9.273 2.114 2.291
O -7.927 1.220 -2.497
O -3.427 1.151 0.399
Mo -5.740 2.578 -3.037
O -8.184 2.892 -0.131
O -12.575 5.034 -0.482
O -5.426 2.562 -1.292
Cu -4.494 2.822 0.352
O -7.095 3.932 -3.158
O -7.278 5.709 -0.799
Cu -5.652 -0.130 1.164
O -5.402 0.687 -3.478
O -6.332 -0.255 -0.624
Mo -7.290 -0.585 -2.076
O -4.337 3.340 -3.714
Mo -6.320 6.039 0.653
O -5.683 4.234 1.074
Mo -7.870 2.876 1.615
O -1.035 0.421 -0.941
Cu -7.958 5.584 -2.586
O -8.208 4.767 2.055
O -6.516 1.523 1.736
Cu -9.117 2.632 -1.774
O -10.183 4.303 -1.821

=====

Per-record calculated formation energy, meV per atom: -1067; -2223; -1861; -1565